106
Lattice="10.996 0.000 0.000 -5.498 9.522 0.000 0.000 0.000 17.678" Properties=species:S:1:pos:R:3 comment="Sm6Al43Cr4 GGA-PBE relaxed" ef_ev_per_atom=-0.27 space_group="P6_3/mcm (193)" m_tot_mub_per_fu=2.810 final_energy_ev_per_atom=-4.57 pbc="T T T"
Sm -2.587 4.481 1.688
Sm -2.587 4.481 7.151
Sm -2.911 5.042 10.527
Sm -2.911 5.042 15.990
Sm 5.174 0.000 1.688
Sm 5.174 0.000 7.151
Sm 2.587 4.481 10.527
Sm 2.587 4.481 15.990
Sm 5.822 0.000 10.527
Sm 5.822 0.000 15.990
Sm 2.911 5.042 1.688
Sm 2.911 5.042 7.151
Al -0.795 1.378 13.258
Al -0.851 1.474 2.046
Al -0.851 1.474 6.793
Al -1.370 2.373 9.389
Al -1.370 2.373 17.128
Al -4.128 7.149 0.550
Al -4.128 7.149 8.289
Al -4.647 8.048 10.885
Al -4.647 8.048 15.632
Al -4.702 8.145 4.419
Al -1.416 5.201 4.419
Al -1.701 5.696 13.258
Al 1.591 0.000 13.258
Al 0.795 1.378 4.419
Al 1.702 0.000 2.046
Al 1.702 0.000 6.793
Al 0.851 1.474 10.885
Al 0.851 1.474 15.632
Al -0.403 3.709 11.783
Al -0.403 3.709 14.733
Al -2.487 7.319 2.944
Al -2.487 7.319 5.895
Al 0.403 3.709 2.944
Al 0.403 3.709 5.895
Al -2.084 8.017 11.783
Al -2.084 8.017 14.733
Al 0.000 4.703 0.000
Al 0.000 4.703 8.839
Al -1.424 7.171 0.000
Al -1.424 7.171 8.839
Al 2.740 0.000 9.389
Al 2.740 0.000 17.128
Al 1.370 2.373 0.550
Al 1.370 2.373 8.289
Al 0.000 6.348 2.270
Al 0.000 6.348 6.568
Al 0.000 6.348 11.109
Al 0.000 6.348 15.407
Al 3.414 1.505 11.783
Al 3.414 1.505 14.733
Al 3.011 2.204 2.944
Al 3.011 2.204 5.895
Al 1.416 5.201 13.258
Al -0.286 8.148 4.419
Al 1.701 5.696 4.419
Al 0.286 8.148 13.258
Al 4.073 2.352 0.000
Al 4.073 2.352 8.839
Al 1.424 7.171 0.000
Al 1.424 7.171 8.839
Al 5.212 1.375 4.419
Al 3.797 3.826 13.258
Al 5.784 1.375 13.258
Al 4.082 4.321 4.419
Al 2.487 7.319 11.783
Al 2.487 7.319 14.733
Al 2.084 8.017 2.944
Al 2.084 8.017 5.895
Al 5.498 3.174 2.270
Al 5.498 3.174 6.568
Al 5.498 3.174 11.109
Al 5.498 3.174 15.407
Al 8.255 0.000 0.550
Al 8.255 0.000 8.289
Al 4.128 7.149 9.389
Al 4.128 7.149 17.128
Al 6.922 2.352 0.000
Al 6.922 2.352 8.839
Al 5.498 4.819 0.000
Al 5.498 4.819 8.839
Al 7.582 1.505 2.944
Al 7.582 1.505 5.895
Al 5.094 5.813 11.783
Al 5.094 5.813 14.733
Al 7.985 2.204 11.783
Al 7.985 2.204 14.733
Al 5.901 5.813 2.944
Al 5.901 5.813 5.895
Al 9.294 0.000 10.885
Al 9.294 0.000 15.632
Al 4.647 8.048 2.046
Al 4.647 8.048 6.793
Al 9.405 0.000 4.419
Al 4.702 8.145 13.258
Al 7.199 3.826 4.419
Al 6.913 4.321 13.258
Cr 0.000 0.000 0.000
Cr 0.000 0.000 8.839
Cr -1.461 2.531 4.419
Cr -4.036 6.991 13.258
Cr 2.923 0.000 4.419
Cr 1.461 2.531 13.258
Cr 8.073 0.000 13.258
Cr 4.036 6.991 4.419

46
Lattice="0.000 7.209 7.209 7.209 0.000 7.209 7.209 7.209 0.000" Properties=species:S:1:pos:R:3 comment="SmAl20Cr2 GGA-PBE relaxed" ef_ev_per_atom=-0.14 space_group="Fd-3m (227)" m_tot_mub_per_fu=2.231 final_energy_ev_per_atom=-4.45 pbc="T T T"
Sm 1.802 1.802 1.802
Sm 12.616 12.616 12.616
Al 0.000 0.000 0.000
Al 3.605 3.605 0.000
Al 3.605 0.000 3.605
Al 4.709 2.764 2.764
Al 8.050 6.106 2.764
Al 8.050 2.764 6.106
Al 9.710 6.368 6.368
Al 11.655 8.313 6.368
Al 11.655 6.368 8.313
Al 5.407 5.407 3.432
Al 5.407 3.432 5.407
Al 7.382 5.407 5.407
Al 2.764 4.709 2.764
Al 6.106 8.050 2.764
Al 2.764 2.764 4.709
Al 8.050 8.050 4.709
Al 6.106 2.764 8.050
Al 8.050 4.709 8.050
Al 9.012 9.012 7.036
Al 9.012 7.036 9.012
Al 10.987 9.012 9.012
Al 0.000 3.605 3.605
Al 3.432 5.407 5.407
Al 5.407 7.382 5.407
Al 5.407 5.407 7.382
Al 6.368 9.710 6.368
Al 8.313 11.655 6.368
Al 6.368 6.368 9.710
Al 11.655 11.655 9.710
Al 8.313 6.368 11.655
Al 11.655 9.710 11.655
Al 7.036 9.012 9.012
Al 9.012 10.987 9.012
Al 9.012 9.012 10.987
Al 2.764 8.050 6.106
Al 2.764 6.106 8.050
Al 4.709 8.050 8.050
Al 6.368 11.655 8.313
Al 6.368 8.313 11.655
Al 9.710 11.655 11.655
Cr 7.209 3.605 3.605
Cr 3.605 7.209 3.605
Cr 3.605 3.605 7.209
Cr 7.209 7.209 7.209

12
Lattice="4.864 0.000 0.000 -2.432 4.212 0.000 0.000 0.000 7.991" Properties=species:S:1:pos:R:3 comment="Ta3AlCr8 GGA-PBE relaxed" ef_ev_per_atom=-0.10 space_group="P3m1 (156)" m_tot_mub_per_fu=0.000 final_energy_ev_per_atom=-9.81 pbc="T T T"
Ta 0.000 0.000 0.000
Ta 0.000 0.000 3.040
Ta 0.000 2.808 6.999
Al 0.000 2.808 4.016
Cr -1.187 2.123 1.522
Cr 1.197 0.691 5.494
Cr 1.187 2.123 1.522
Cr 0.000 4.179 1.522
Cr 2.432 1.404 3.507
Cr 2.432 1.404 7.497
Cr 3.667 0.691 5.494
Cr 2.432 2.830 5.494

106
Lattice="10.913 0.000 0.000 -5.457 9.451 0.000 0.000 0.000 17.336" Properties=species:S:1:pos:R:3 comment="Tb6Al39Cr8 GGA-PBE relaxed" ef_ev_per_atom=-0.28 space_group="P6_3/mcm (193)" m_tot_mub_per_fu=10.344 final_energy_ev_per_atom=-5.02 pbc="T T T"
Tb -2.547 4.411 1.688
Tb -2.547 4.411 6.980
Tb -2.910 5.040 10.356
Tb -2.910 5.040 15.648
Tb 5.093 0.000 1.688
Tb 5.093 0.000 6.980
Tb 2.547 4.411 10.356
Tb 2.547 4.411 15.648
Tb 5.820 0.000 10.356
Tb 5.820 0.000 15.648
Tb 2.910 5.040 1.688
Tb 2.910 5.040 6.980
Al -0.824 1.428 13.002
Al -0.843 1.461 1.997
Al -0.843 1.461 6.671
Al -1.368 2.369 9.171
Al -1.368 2.369 16.833
Al -4.089 7.082 0.503
Al -4.089 7.082 8.165
Al -4.613 7.990 10.665
Al -4.613 7.990 15.339
Al -4.632 8.024 4.334
Al 1.649 0.000 13.002
Al 0.824 1.428 4.334
Al -1.325 5.174 4.334
Al -1.638 5.717 13.002
Al 1.687 0.000 1.997
Al 1.687 0.000 6.671
Al 0.843 1.461 10.665
Al 0.843 1.461 15.339
Al -0.365 3.753 11.466
Al -0.365 3.753 14.537
Al -2.390 7.259 2.798
Al -2.390 7.259 5.869
Al 0.365 3.753 2.798
Al 0.365 3.753 5.869
Al -2.024 7.891 11.466
Al -2.024 7.891 14.537
Al 0.000 4.716 0.000
Al 0.000 4.716 8.668
Al -1.372 7.093 0.000
Al -1.372 7.093 8.668
Al 2.736 0.000 9.171
Al 2.736 0.000 16.833
Al 1.368 2.369 0.503
Al 1.368 2.369 8.165
Al 1.325 5.174 13.002
Al -0.313 8.011 4.334
Al 3.432 1.560 11.466
Al 3.432 1.560 14.537
Al 3.067 2.193 2.798
Al 3.067 2.193 5.869
Al 1.638 5.717 4.334
Al 0.313 8.011 13.002
Al 4.085 2.358 0.000
Al 4.085 2.358 8.668
Al 1.372 7.093 0.000
Al 1.372 7.093 8.668
Al 5.143 1.440 4.334
Al 3.819 3.734 13.002
Al 2.390 7.259 11.466
Al 2.390 7.259 14.537
Al 2.024 7.891 2.798
Al 2.024 7.891 5.869
Al 5.770 1.440 13.002
Al 4.132 4.277 4.334
Al 8.178 0.000 0.503
Al 8.178 0.000 8.165
Al 4.089 7.082 9.171
Al 4.089 7.082 16.833
Al 6.829 2.358 0.000
Al 6.829 2.358 8.668
Al 5.457 4.735 0.000
Al 5.457 4.735 8.668
Al 7.481 1.560 2.798
Al 7.481 1.560 5.869
Al 5.091 5.699 11.466
Al 5.091 5.699 14.537
Al 7.846 2.193 11.466
Al 7.846 2.193 14.537
Al 5.822 5.699 2.798
Al 5.822 5.699 5.869
Al 9.226 0.000 10.665
Al 9.226 0.000 15.339
Al 4.613 7.990 1.997
Al 4.613 7.990 6.671
Al 7.095 3.734 4.334
Al 6.781 4.277 13.002
Al 9.265 0.000 4.334
Al 4.632 8.024 13.002
Cr 0.000 0.000 0.000
Cr 0.000 0.000 8.668
Cr -1.408 2.438 4.334
Cr -4.049 7.013 13.002
Cr 2.815 0.000 4.334
Cr 1.408 2.438 13.002
Cr 0.000 6.301 2.302
Cr 0.000 6.301 6.366
Cr 0.000 6.301 10.969
Cr 0.000 6.301 15.034
Cr 5.457 3.150 2.302
Cr 5.457 3.150 6.366
Cr 5.457 3.150 10.969
Cr 5.457 3.150 15.034
Cr 8.098 0.000 13.002
Cr 4.049 7.013 4.334

13
Lattice="-4.508 4.508 2.513 4.508 -4.508 2.513 4.508 4.508 -2.513" Properties=species:S:1:pos:R:3 comment="ThAl8Cr4 GGA-PBE relaxed" ef_ev_per_atom=-0.20 space_group="I4/mmm (139)" m_tot_mub_per_fu=2.030 final_energy_ev_per_atom=-6.05 pbc="T T T"
Th 0.000 0.000 0.000
Al 3.106 0.000 0.000
Al 5.911 0.000 0.000
Al 4.508 2.487 0.000
Al 0.000 3.106 0.000
Al 2.487 4.508 0.000
Al 2.021 0.000 2.513
Al 0.000 5.911 0.000
Al 0.000 2.021 2.513
Cr 2.254 2.254 -1.256
Cr 2.254 -2.254 1.256
Cr -2.254 2.254 1.256
Cr 2.254 2.254 1.256

12
Lattice="8.269 0.000 0.000 0.000 2.491 4.289 0.000 -2.491 4.289" Properties=species:S:1:pos:R:3 comment="TiAlCr GGA-PBE relaxed" ef_ev_per_atom=-0.18 space_group="Amm2 (38)" m_tot_mub_per_fu=0.001 final_energy_ev_per_atom=-7.28 pbc="T T T"
Ti 1.477 0.000 0.000
Ti 2.541 0.000 5.693
Ti 5.728 0.000 5.693
Ti 6.792 0.000 0.000
Al 2.006 0.000 2.756
Al 4.134 -1.271 3.570
Al 4.134 1.271 3.570
Al 6.263 0.000 2.756
Cr 0.000 0.000 4.328
Cr 0.000 -1.146 6.335
Cr 0.000 1.146 6.335
Cr 4.134 0.000 1.380

13
Lattice="-2.525 4.343 4.403 2.525 -4.343 4.403 2.525 4.343 -4.403" Properties=species:S:1:pos:R:3 comment="TmAl6Cr6 GGA-PBE relaxed" ef_ev_per_atom=-0.12 space_group="Immm (71)" m_tot_mub_per_fu=0.151 final_energy_ev_per_atom=-6.65 pbc="T T T"
Tm 0.000 0.000 0.000
Al 2.525 1.676 0.000
Al 0.000 0.000 2.926
Al 0.000 3.003 0.000
Al 0.000 5.683 0.000
Al 0.000 0.000 5.880
Al 0.000 2.667 4.403
Cr 1.263 2.172 -2.201
Cr 1.263 -2.172 2.201
Cr 2.525 0.000 2.106
Cr -1.263 2.172 2.201
Cr 1.263 2.172 2.201
Cr 0.000 4.343 2.297

13
Lattice="-4.443 4.443 2.526 4.443 -4.443 2.526 4.443 4.443 -2.526" Properties=species:S:1:pos:R:3 comment="TmAl8Cr4 GGA-PBE relaxed" ef_ev_per_atom=-0.21 space_group="I4/mmm (139)" m_tot_mub_per_fu=2.552 final_energy_ev_per_atom=-5.83 pbc="T T T"
Tm 0.000 0.000 0.000
Al 2.982 0.000 0.000
Al 5.903 0.000 0.000
Al 4.443 2.477 0.000
Al 0.000 2.982 0.000
Al 2.477 4.443 0.000
Al 1.966 0.000 2.526
Al 0.000 5.903 0.000
Al 0.000 1.966 2.526
Cr 2.221 2.221 -1.263
Cr 2.221 -2.221 1.263
Cr -2.221 2.221 1.263
Cr 2.221 2.221 1.263

Number 8 is which compound?
TmAl8Cr4

What is the formula in the eighth record?
TmAl8Cr4